Entry 1:
! Li2VFeP2O8 | Materials Project | PBE with a Hubbard U | relaxed; values from VASP
! * M_tot: 0.000 μB/atom
! * ΔH_f (0 K): -2.5578 eV/atom
! * volume: 10.9 A^3/atom
&SYSTEM
  ibrav = 0, nat = 28, ntyp = 5
/
ATOMIC_SPECIES
O 16.00 O.upf
P 30.97 P.upf
V 50.94 V.upf
Li 6.94 Li.upf
Fe 55.84 Fe.upf
CELL_PARAMETERS angstrom
0.006 0.000 4.763
10.482 0.000 0.016
0.000 6.090 0.000
ATOMIC_POSITIONS angstrom
O 6.955 2.760 1.028
P 0.974 1.523 1.957
V 8.141 1.522 2.468
Li 5.244 3.045 2.390
O 4.776 1.523 0.990
V 2.346 4.568 2.312
P 9.513 4.568 2.822
Li 10.481 3.045 0.016
Li 5.244 0.000 2.390
Fe 2.924 1.523 4.645
O 10.010 1.522 1.398
O 3.533 3.330 3.752
O 9.460 4.568 1.286
Li 10.481 6.090 0.017
O 4.251 4.568 1.159
O 6.238 1.523 3.621
P 6.209 1.523 0.395
O 6.955 0.285 1.028
Fe 7.563 4.568 0.134
O 1.700 2.758 1.310
O 8.787 3.332 3.471
O 5.712 4.568 3.789
O 0.477 4.568 3.381
O 3.533 5.805 3.752
P 4.279 4.568 4.385
O 1.701 0.287 1.309
O 8.787 5.803 3.471
O 1.026 1.523 3.494

Entry 2:
! LiVFeP4O14 | Materials Project | PBE with a Hubbard U | relaxed; values from VASP
! * offset from the most stable computed form: 0.36 kcal/mol of atoms
! * M_tot: 0.286 μB/atom
! * ΔH_f (0 K): -2.5529 eV/atom
! * volume: 12.8 A^3/atom
&SYSTEM
  ibrav = 0, nat = 21, ntyp = 5
/
ATOMIC_SPECIES
O 16.00 O.upf
P 30.97 P.upf
Fe 55.84 Fe.upf
Li 6.94 Li.upf
V 50.94 V.upf
CELL_PARAMETERS angstrom
-4.029 -2.859 -0.322
3.128 -5.278 5.198
-1.205 4.503 5.284
ATOMIC_POSITIONS angstrom
O -2.105 0.117 6.752
O -1.991 -0.995 2.601
O -0.095 -3.461 4.632
O -0.968 1.331 2.801
P -3.324 0.326 5.864
Fe -0.448 -6.296 6.410
P -0.881 -3.159 6.016
O -0.252 1.971 6.132
O -3.008 -2.991 0.955
O 0.256 0.165 8.247
O -0.170 -1.979 6.690
O -1.614 -6.367 4.807
O -0.794 -4.415 6.863
O -2.299 -2.800 5.567
P 1.283 -4.291 4.490
P -1.543 0.135 3.531
Li -0.700 -1.319 1.098
O -0.548 -0.391 4.590
V -0.131 -0.049 6.416
O -2.823 0.656 4.365
O 1.096 -5.682 5.117

Entry 3:
! Li2VFeP4O14 | Materials Project | PBE with a Hubbard U | relaxed; values from VASP
! * M_tot: 0.318 μB/atom
! * ΔH_f (0 K): -2.6287 eV/atom
! * volume: 12.2 A^3/atom
&SYSTEM
  ibrav = 0, nat = 66, ntyp = 5
/
ATOMIC_SPECIES
P 30.97 P.upf
O 16.00 O.upf
Li 6.94 Li.upf
V 50.94 V.upf
Fe 55.84 Fe.upf
CELL_PARAMETERS angstrom
4.853 -0.413 -0.474
-2.982 -6.169 -1.658
-1.678 7.200 -23.597
ATOMIC_POSITIONS angstrom
P 0.690 -4.248 -7.521
P 1.310 -2.432 -3.589
O 2.142 -2.420 -4.874
Li 2.119 1.585 -13.797
O 4.068 -0.874 -2.074
O -1.175 1.675 -19.456
V -2.527 1.417 -20.968
P -0.071 -1.417 -7.506
O -0.691 -2.138 -14.127
O -2.724 -2.375 -11.802
Li -2.358 0.882 -18.017
P -0.429 0.551 -23.252
O -1.798 3.148 -21.851
O 1.287 -0.709 -7.397
O 0.169 4.090 -23.128
Li -1.794 -1.506 -10.147
P 0.654 -0.101 -1.948
O 0.724 1.684 -15.269
O -2.169 -4.789 -3.929
O -3.293 0.009 -19.653
O 0.971 1.815 -18.133
O 3.510 1.533 -9.939
P -0.637 0.980 -15.362
O -0.948 1.938 -23.929
O -1.628 1.655 -16.320
O 1.034 -0.860 -3.335
O 0.173 -2.861 -8.199
O 1.090 1.883 -8.718
O 2.298 5.657 -22.670
Fe 3.002 -1.974 -0.817
Fe 2.443 0.421 -8.681
V 1.874 2.805 -16.563
Li 2.673 -0.812 -5.946
O 1.541 -0.573 -10.253
O -0.130 -4.550 -6.262
O -2.680 -3.658 -6.755
O 1.024 2.378 -20.609
P 0.136 -1.840 -15.385
Li -1.239 -3.914 -2.281
O -0.390 -0.456 -16.061
O 0.476 1.547 -11.199
O 1.582 -0.019 -12.745
P -0.462 4.697 -17.673
O -0.089 3.940 -19.068
Fe -1.971 -1.006 -13.127
Li 1.554 3.987 -21.676
P 0.188 2.372 -19.325
O -1.236 0.738 -13.973
P 0.096 2.305 -9.810
O -1.066 -0.743 -8.460
O 2.863 3.267 -14.792
O -0.679 -1.654 -6.119
O 2.956 3.914 -17.810
O -2.184 4.056 -24.195
P 0.748 -0.031 -11.458
O -3.233 -1.263 -14.615
O -1.248 0.249 -21.993
O -3.799 1.142 -22.490
P -1.189 3.384 -23.239
V -1.407 -3.380 -5.245
O -0.053 -3.122 -3.724
O 0.529 4.283 -16.578
O -0.612 -0.729 -11.581
O 2.093 -2.980 -2.387
O 3.416 0.858 -6.939
O 1.647 -0.522 -0.852

Entry 4:
! Li3ZnFe2P3O12 | Materials Project | PBE with a Hubbard U | relaxed; values from VASP
! * M_tot: 0.381 μB/atom
! * ΔH_f (0 K): -2.4851 eV/atom
! * volume: 10.7 A^3/atom
&SYSTEM
  ibrav = 0, nat = 84, ntyp = 5
/
ATOMIC_SPECIES
Fe 55.84 Fe.upf
P 30.97 P.upf
Li 6.94 Li.upf
O 16.00 O.upf
Zn 65.41 Zn.upf
CELL_PARAMETERS angstrom
-2.759 -4.812 5.348
-5.318 -6.787 -7.272
5.837 -9.687 -1.464
ATOMIC_POSITIONS angstrom
Fe -2.917 -9.019 -2.992
P 0.986 -6.154 0.574
Li 0.189 -9.179 1.621
P -0.602 -12.216 2.682
P 0.780 -15.508 -0.905
O -0.296 -12.391 -2.246
P 3.469 -11.634 -0.264
P -1.645 -9.068 -6.055
P -3.227 -15.133 -3.975
Fe -0.223 -5.155 -2.351
O 2.515 -11.550 -1.512
Fe -5.608 -12.887 -3.636
O -2.091 -6.440 2.304
O -1.517 -3.240 1.005
Li -2.657 -3.398 -3.634
Fe -2.825 -17.934 -4.400
Li 3.076 -14.500 3.880
Fe 0.673 -12.263 -0.392
O -2.606 -11.247 -0.271
O 0.346 -10.029 -3.114
O -2.878 -19.277 -2.791
O -1.976 -9.274 1.296
Li 0.223 -8.706 -1.372
Li -5.382 -7.737 -1.286
Li 0.256 -8.232 -4.365
Zn 0.566 -3.356 1.011
O 0.569 -8.034 3.334
O -4.642 -12.755 -1.779
O 0.635 -7.092 -2.641
O -1.949 -8.889 -1.139
Fe 2.562 -10.201 -3.114
O 0.752 -5.028 -0.498
O -2.060 -10.956 -3.289
O 1.998 -14.174 -3.753
P -3.068 -6.732 3.505
P -5.695 -9.653 -3.125
O 1.934 -15.120 2.239
O -2.020 -5.495 -3.681
Li -2.436 -12.100 -5.005
O -0.270 -12.001 -4.687
O -4.150 -6.169 -5.626
O -0.333 -12.953 1.316
O -2.987 -16.253 -2.894
O -0.201 -15.801 0.289
Li 0.158 -9.650 4.612
Li -2.472 -12.571 -2.015
O -1.909 -8.331 -4.692
O 2.397 -8.527 -1.586
Li -2.690 -3.870 -0.645
O -0.179 -15.416 -2.149
P -0.539 -11.266 -3.321
O -1.170 -3.173 -2.047
O -2.344 -13.895 -3.763
Li -5.353 -7.263 -4.275
P -3.003 -5.787 -2.483
O -0.189 -10.334 -0.100
O -4.593 -12.200 -5.336
O -0.147 -14.850 -5.706
Zn 3.362 -8.373 0.250
Li -2.723 -4.344 2.356
O -4.214 -7.117 0.362
O -1.066 -18.113 -1.338
Fe -2.018 -16.127 -1.038
Fe -0.133 -14.070 -3.762
O -2.052 -5.882 -1.229
Zn -4.820 -11.090 -0.272
O -2.808 -13.270 -6.733
O 2.359 -9.085 1.931
O -6.556 -10.906 -3.332
O 1.628 -14.247 -0.698
Zn -2.130 -7.226 0.369
O 4.304 -10.364 -0.053
O -2.540 -10.302 -6.261
O 0.646 -2.015 -0.592
O -4.717 -9.361 -4.326
O 0.281 -10.976 2.879
P 0.841 -14.561 -6.896
P -1.711 -10.013 -0.066
O -2.881 -14.199 -0.740
O -3.864 -7.037 -2.692
O 0.085 -7.383 0.370
O 2.485 -11.935 0.925
O -0.694 -18.041 -4.390
O -4.740 -9.748 -1.874

Entry 5:
! Li3ZnFe2P3O12 | Materials Project | PBE with a Hubbard U | relaxed; values from VASP
! * M_tot: 0.381 μB/atom
! * ΔH_f (0 K): -2.4851 eV/atom
! * volume: 10.6 A^3/atom
&SYSTEM
  ibrav = 0, nat = 84, ntyp = 5
/
ATOMIC_SPECIES
O 16.00 O.upf
Fe 55.84 Fe.upf
P 30.97 P.upf
Li 6.94 Li.upf
Zn 65.41 Zn.upf
CELL_PARAMETERS angstrom
6.052 0.000 0.000
0.000 10.351 0.000
0.000 0.006 14.269
ATOMIC_POSITIONS angstrom
O 1.236 8.666 8.164
Fe 3.026 8.076 2.502
P 0.000 4.199 4.364
O 4.816 8.666 8.164
P 3.026 0.974 1.986
O 4.821 8.656 12.917
O 4.812 3.469 3.724
O 1.790 1.707 1.349
O 0.000 9.384 10.744
O 3.026 4.712 10.513
O 1.240 3.469 3.724
P 0.000 4.207 9.120
O 3.026 6.148 3.609
O 4.817 3.471 8.483
Li 1.518 0.008 9.510
Zn 0.000 2.269 7.025
O 3.026 4.691 5.745
Fe 0.000 2.282 2.257
P 0.000 9.401 7.528
O 3.026 6.163 13.126
Fe 3.026 8.080 12.018
O 1.786 6.883 1.029
O 0.000 0.492 8.122
O 4.265 1.710 10.864
Zn 0.000 2.271 11.785
O 4.817 8.644 3.407
O 3.026 0.984 13.037
Li 1.511 0.011 4.758
O 4.821 3.479 13.242
Fe 0.000 7.462 9.635
O 1.789 1.716 6.103
P 0.000 9.400 12.281
O 3.026 9.888 10.897
O 1.235 8.644 3.407
O 1.235 3.471 8.483
Li 4.539 5.175 2.378
Li 4.541 5.168 7.137
O 4.259 6.869 5.781
O 1.231 8.656 12.917
O 4.261 6.885 10.537
P 3.026 6.128 5.143
O 0.000 0.464 3.364
O 0.000 0.489 12.881
O 0.000 5.662 13.275
O 3.026 1.007 3.524
Li 4.536 5.174 11.887
O 0.000 4.203 1.143
P 0.000 4.223 13.879
O 3.026 9.890 6.134
O 0.000 9.345 1.230
O 4.262 1.707 1.349
O 0.000 4.171 10.659
O 1.787 1.710 10.864
Li 4.535 10.347 0.004
O 0.000 9.375 5.993
O 3.026 4.710 0.994
Fe 3.026 8.077 7.242
O 1.231 3.479 13.242
P 3.026 6.144 9.906
Li 4.534 0.008 9.510
Li 1.516 5.174 11.887
O 0.000 5.640 3.774
Li 4.541 0.011 4.758
Zn 3.026 2.910 4.654
P 0.000 9.380 2.770
P 3.026 0.973 11.500
O 3.026 0.982 8.276
O 4.266 6.883 1.029
O 3.026 9.888 1.391
O 1.791 6.885 10.537
O 0.000 5.645 8.526
O 1.793 6.869 5.781
P 3.026 0.975 6.738
Zn 0.000 7.437 0.106
O 0.000 4.169 5.904
P 3.026 6.147 0.396
Li 1.511 5.168 7.137
Li 1.517 10.347 0.004
Fe 0.000 7.451 4.882
O 3.026 6.155 8.369
Li 1.513 5.175 2.378
O 4.264 1.716 6.103
Fe 3.026 2.911 14.144
Fe 3.026 2.896 9.395

Entry 6:
! Li8Zr7FeP12O48 | Materials Project | PBE with a Hubbard U | relaxed; values from VASP
! * M_tot: 0.070 μB/atom
! * ΔH_f (0 K): -3.0079 eV/atom
! * volume: 13.4 A^3/atom
&SYSTEM
  ibrav = 0, nat = 76, ntyp = 5
/
ATOMIC_SPECIES
O 16.00 O.upf
Li 6.94 Li.upf
P 30.97 P.upf
Zr 91.22 Zr.upf
Fe 55.84 Fe.upf
CELL_PARAMETERS angstrom
8.917 0.010 0.007
0.010 9.067 0.032
0.010 0.045 12.602
ATOMIC_POSITIONS angstrom
O 3.099 5.193 6.753
O 8.461 1.337 5.503
O 0.609 8.098 2.028
Li 1.935 6.563 2.286
O 5.971 4.679 3.478
O 3.847 0.968 8.265
O 4.904 5.823 0.834
O 5.097 8.120 4.351
O 7.607 6.109 7.322
Li 6.970 2.600 10.255
P 4.062 6.852 12.625
P 7.996 5.507 10.748
O 7.617 7.616 5.320
Li 6.406 6.989 8.572
O 1.536 8.953 9.811
Li 6.974 2.036 2.277
P 0.380 2.325 6.345
Zr 2.221 8.713 7.744
O 3.000 6.735 4.035
Li 2.547 2.029 4.067
P 5.401 3.613 4.481
Li 2.553 2.566 8.539
O 3.842 3.583 4.311
O 5.809 3.946 5.886
O 1.358 3.939 0.457
O 7.564 8.480 0.476
Fe 6.718 4.197 7.743
P 7.981 8.142 1.918
O 3.140 6.096 11.630
Li 1.930 7.079 10.365
O 5.812 3.020 0.996
P 3.551 8.131 4.458
O 0.496 7.821 7.096
O 5.812 1.558 11.612
O 1.503 2.210 2.316
O 8.488 3.289 7.177
O 1.518 4.700 2.843
O 8.316 1.024 10.605
P 0.940 3.604 1.900
O 1.353 0.635 12.162
O 0.480 5.872 5.488
Zr 2.258 4.192 11.184
O 7.414 4.422 9.853
O 2.953 6.906 8.611
O 7.601 5.234 12.227
P 4.892 2.313 12.607
O 1.356 1.518 7.272
O 5.927 2.364 8.631
O 5.981 8.919 9.128
O 1.338 3.039 5.322
O 5.080 5.565 8.315
O 4.026 3.297 11.807
Zr 6.687 8.723 11.188
O 2.945 4.420 9.125
O 7.424 6.749 2.339
O 3.123 7.554 1.020
P 0.938 0.980 10.720
P 5.408 1.002 8.196
O 2.948 0.165 3.505
O 0.635 5.558 10.656
Zr 6.724 0.427 4.919
Zr 6.675 4.932 1.442
O 3.134 8.447 5.909
Zr 2.249 0.399 1.421
O 1.509 2.372 10.312
O 7.459 6.926 10.354
O 5.829 0.662 6.729
O 5.937 2.196 4.021
Li 6.409 6.522 4.116
P 3.567 5.516 8.203
Zr 2.217 4.916 4.930
O 8.314 3.563 2.018
P 8.511 6.826 6.343
O 7.393 0.171 2.833
O 4.913 7.842 11.821
O 4.030 1.284 0.824

Entry 7:
! Li2Fe2S3O12 | Materials Project | PBE with a Hubbard U | relaxed; values from VASP
! * offset from the most stable computed form: 0.20 kcal/mol of atoms
! * M_tot: 0.421 μB/atom
! * ΔH_f (0 K): -2.0086 eV/atom
! * volume: 12.1 A^3/atom
&SYSTEM
  ibrav = 0, nat = 38, ntyp = 4
/
ATOMIC_SPECIES
O 16.00 O.upf
Fe 55.84 Fe.upf
Li 6.94 Li.upf
S 32.06 S.upf
CELL_PARAMETERS angstrom
1.101 -7.699 1.734
6.591 -1.449 4.236
-1.846 -1.774 8.484
ATOMIC_POSITIONS angstrom
O 0.675 -0.763 1.609
Fe 4.280 -1.917 3.022
Li -0.474 -4.423 9.165
O 2.726 -5.344 3.505
O 5.134 -6.584 10.058
S 3.797 -7.137 6.336
O -0.679 -2.140 5.654
Li 1.514 -2.324 5.409
O 5.171 -10.159 12.845
Li 6.320 -6.498 5.288
O 4.605 -6.793 12.452
O 5.582 -3.517 6.936
O 0.264 -7.404 7.517
O 1.241 -4.128 2.001
O 2.637 -6.291 6.067
Fe 1.566 -9.005 11.432
S 5.800 -2.267 6.207
Fe 0.581 -5.964 5.999
O 2.497 -2.912 3.691
S 2.048 -3.784 8.118
O 0.711 -4.338 4.396
O 3.209 -4.631 8.387
Li 4.332 -8.597 9.045
O 4.962 -6.336 6.836
O 4.973 -2.207 5.001
O 1.564 -3.203 9.447
O 6.525 -8.781 8.799
O 3.348 -8.010 10.763
O 2.352 -2.700 7.170
O 3.119 -5.578 10.949
S 4.025 -6.715 11.102
S 0.045 -8.654 8.247
S 1.821 -4.207 3.352
Fe 5.265 -4.958 8.455
O 3.494 -8.222 7.284
O 0.873 -8.714 9.453
O 0.883 -4.585 7.618
O 4.281 -7.718 5.006

no.,E (MP2020) (eV/atom)
1,-7.69
2,-7.81
3,-7.73
4,-7.23
5,-7.23
6,-8.09
7,-6.88